#a
DFT (GGA+U) results for a relaxed Li4NbCo3O8 crystal. Values from VASP.

Values from the calculation:
SG: P1 (1)

```
&SYSTEM
  ibrav = 0, nat = 16, ntyp = 4
/
ATOMIC_SPECIES
Li 6.94 Li.upf
Nb 92.91 Nb.upf
Co 58.93 Co.upf
O 16.00 O.upf
CELL_PARAMETERS angstrom
-0.402 2.644 4.381
-4.940 -2.503 1.061
3.101 -4.772 3.219
ATOMIC_POSITIONS crystal
Li 0.993 0.908 0.390
Li 0.499 0.579 0.863
Li 0.993 0.440 0.125
Li 0.499 0.093 0.624
Nb 0.505 0.084 0.124
Co 0.989 0.908 0.855
Co 0.504 0.574 0.390
Co 0.994 0.414 0.628
O 0.382 0.928 0.890
O 0.390 0.919 0.359
O 0.884 0.582 0.864
O 0.882 0.575 0.389
O 0.363 0.417 0.626
O 0.391 0.402 0.129
O 0.886 0.097 0.623
O 0.872 0.080 0.122
```

#b
DFT (GGA+U) results for a relaxed Li4NbCo3O8 crystal. Values from VASP.

Values from the calculation:
SG: P-1 (2)

```
&SYSTEM
  ibrav = 0, nat = 32, ntyp = 4
/
ATOMIC_SPECIES
Li 6.94 Li.upf
Nb 92.91 Nb.upf
Co 58.93 Co.upf
O 16.00 O.upf
CELL_PARAMETERS angstrom
-1.705 5.756 -0.027
3.495 1.019 7.721
5.200 1.582 -2.581
ATOMIC_POSITIONS crystal
Li 0.000 0.500 0.000
Li 0.500 0.000 0.500
Li 0.750 0.750 0.750
Li 0.250 0.250 0.250
Li 0.250 0.750 0.750
Li 0.750 0.250 0.250
Li 0.500 0.498 0.000
Li 0.000 0.002 0.500
Nb 0.498 0.501 0.499
Nb 0.002 0.999 0.001
Co 0.250 0.750 0.250
Co 0.750 0.250 0.750
Co 0.750 0.750 0.250
Co 0.250 0.250 0.750
Co 0.502 0.001 0.998
Co 0.998 0.499 0.502
O 0.481 0.759 0.037
O 0.983 0.257 0.530
O 0.019 0.741 0.463
O 0.517 0.243 0.970
O 0.241 0.000 0.762
O 0.741 0.502 0.261
O 0.259 0.500 0.738
O 0.759 0.998 0.239
O 0.765 0.000 0.758
O 0.265 0.498 0.259
O 0.504 0.262 0.498
O 0.001 0.762 0.994
O 0.735 0.500 0.742
O 0.235 0.002 0.241
O 0.499 0.738 0.506
O 0.996 0.238 0.002
```

#c
DFT (GGA+U) results for a relaxed Li4NbCo3O8 crystal. Values from VASP.

Values from the calculation:
SG: R-3m (166)

```
&SYSTEM
  ibrav = 0, nat = 16, ntyp = 4
/
ATOMIC_SPECIES
Li 6.94 Li.upf
Nb 92.91 Nb.upf
Co 58.93 Co.upf
O 16.00 O.upf
CELL_PARAMETERS angstrom
5.210 -2.991 0.000
5.210 2.991 0.000
3.494 0.000 4.887
ATOMIC_POSITIONS crystal
Li 0.500 0.500 0.500
Li 0.500 0.000 0.000
Li 0.000 0.000 0.500
Li 0.000 0.500 0.000
Nb 0.000 0.000 0.000
Co 0.000 0.500 0.500
Co 0.500 0.500 0.000
Co 0.500 0.000 0.500
O 0.734 0.734 0.734
O 0.764 0.240 0.240
O 0.240 0.240 0.764
O 0.266 0.266 0.266
O 0.240 0.764 0.240
O 0.236 0.760 0.760
O 0.760 0.760 0.236
O 0.760 0.236 0.760
```

Which of them is most stable, and which least? Most stable: #b; least stable: #c.